1:
{"formula": "LiV3O4", "functional": "PBE+U", "state": "relaxed", "lattice_angstrom": [[0.000, 0.000, -4.269], [4.322, 0.000, 0.000], [0.000, -8.626, 0.000]], "species": ["O", "O", "O", "O", "O", "O", "O", "O", "V", "V", "V", "V", "V", "V", "Li", "Li"], "fractional_positions": [[0.500, 0.500, 0.757], [0.000, 0.000, 0.268], [0.500, 0.000, 0.504], [0.500, 0.000, 0.000], [0.000, 0.500, 0.500], [0.500, 0.500, 0.233], [0.000, 0.499, 0.997], [0.999, 0.000, 0.745], [0.499, 0.000, 0.751], [0.500, 0.000, 0.253], [0.501, 0.500, 0.996], [0.000, 0.500, 0.749], [0.000, 0.000, 0.505], [0.000, 0.500, 0.247], [0.500, 0.500, 0.498], [0.000, 0.000, 0.998]]}



2:
{"formula": "LiV3O4", "functional": "PBE+U", "state": "relaxed", "lattice_angstrom": [[-0.818, -0.968, -4.079], [-3.332, -2.373, 1.231], [-5.206, 6.989, -0.615]], "species": ["O", "O", "O", "O", "O", "O", "O", "O", "V", "V", "V", "V", "V", "V", "Li", "Li"], "fractional_positions": [[0.000, 0.500, 0.502], [0.000, 0.000, 0.252], [0.500, 0.000, 0.002], [0.000, 0.500, 0.002], [0.500, 0.500, 0.239], [0.000, 0.000, 0.739], [0.500, 0.000, 0.502], [0.500, 0.500, 0.752], [0.000, 0.000, 0.494], [0.000, 0.500, 0.253], [0.500, 0.000, 0.753], [0.000, 0.500, 0.753], [0.500, 0.000, 0.253], [0.500, 0.500, 0.994], [0.000, 0.000, 0.005], [0.500, 0.500, 0.505]]}



3:
{"formula": "LiV3O4", "functional": "PBE+U", "state": "relaxed", "lattice_angstrom": [[2.133, -4.353, 2.133], [4.268, 0.000, -4.268], [2.135, 4.356, 2.135]], "species": ["V", "V", "V", "V", "V", "V", "O", "O", "O", "O", "O", "O", "O", "O", "Li", "Li"], "fractional_positions": [[0.500, 0.998, 0.500], [0.000, 0.505, 0.000], [0.500, 0.749, 0.000], [0.000, 0.250, 0.500], [0.000, 0.748, 0.500], [0.500, 0.250, 0.000], [0.740, 0.241, 0.743], [0.241, 0.507, 0.744], [0.260, 0.241, 0.257], [0.746, 0.759, 0.738], [0.752, 0.992, 0.263], [0.759, 0.507, 0.256], [0.254, 0.759, 0.262], [0.248, 0.992, 0.737], [0.500, 0.495, 0.500], [0.000, 0.005, 0.000]]}



Energy relative to the most stable one, in meV per atom: 1 9; 2 41; 3 0



1:
{"formula": "LiFe2OF5", "functional": "PBE+U", "state": "relaxed", "lattice_angstrom": [[4.173, 0.728, -2.037], [3.487, -6.263, 5.141], [-3.431, -2.151, -7.839]], "species": ["F", "F", "F", "F", "F", "F", "F", "F", "F", "F", "F", "F", "F", "F", "F", "Fe", "Fe", "Fe", "Fe", "Fe", "Fe", "O", "O", "O", "Li", "Li", "Li"], "fractional_positions": [[0.709, 0.227, 0.450], [0.286, 0.776, 0.551], [0.758, 0.882, 0.106], [0.726, 0.555, 0.773], [0.265, 0.423, 0.534], [0.281, 0.450, 0.226], [0.737, 0.883, 0.462], [0.758, 0.225, 0.110], [0.241, 0.118, 0.893], [0.276, 0.108, 0.578], [0.728, 0.536, 0.421], [0.729, 0.224, 0.774], [0.238, 0.783, 0.885], [0.288, 0.774, 0.226], [0.738, 0.583, 0.122], [0.994, 0.002, 0.001], [0.516, 0.665, 0.335], [0.528, 0.997, 0.705], [0.472, 0.288, 0.299], [0.484, 0.680, 0.990], [0.471, 0.337, 0.676], [0.276, 0.468, 0.887], [0.769, 0.897, 0.791], [0.224, 0.102, 0.209], [0.012, 0.365, 0.992], [0.985, 0.647, 0.645], [0.011, 0.009, 0.358]]}



2:
{"formula": "LiFe2OF5", "functional": "PBE+U", "state": "relaxed", "lattice_angstrom": [[8.604, 2.831, 0.000], [-8.604, 2.831, 0.000], [0.000, 2.831, 4.636]], "species": ["Li", "Li", "O", "O", "F", "F", "F", "F", "F", "F", "F", "F", "F", "F", "Fe", "Fe", "Fe", "Fe"], "fractional_positions": [[0.223, 0.777, 0.000], [0.455, 0.545, 0.500], [0.811, 0.735, 0.430], [0.265, 0.189, 0.570], [0.623, 0.862, 0.503], [0.858, 0.604, 0.064], [0.449, 0.035, 0.531], [0.743, 0.815, 0.935], [0.965, 0.551, 0.469], [0.396, 0.142, 0.936], [0.138, 0.377, 0.497], [0.091, 0.513, 0.899], [0.487, 0.909, 0.101], [0.185, 0.257, 0.065], [0.622, 0.378, 0.500], [0.963, 0.037, 0.500], [0.289, 0.711, 0.500], [0.042, 0.958, 0.000]]}



Energy relative to the most stable one, in meV per atom: 1 0; 2 42



1:
{"formula": "LiCrO2", "functional": "PBE+U", "state": "relaxed", "lattice_angstrom": [[2.113, 4.800, 0.000], [0.000, 0.000, 5.739], [5.267, 0.005, 0.000]], "species": ["Cr", "Cr", "Cr", "Cr", "Li", "Li", "Li", "Li", "O", "O", "O", "O", "O", "O", "O", "O"], "fractional_positions": [[0.500, 0.751, 0.000], [0.500, 0.499, 0.500], [0.000, 0.251, 0.500], [0.000, 0.999, 0.000], [0.500, 0.250, 0.000], [0.500, 0.000, 0.500], [0.000, 0.500, 0.000], [0.000, 0.750, 0.500], [0.230, 0.000, 0.231], [0.230, 0.250, 0.731], [0.770, 0.250, 0.269], [0.270, 0.749, 0.769], [0.730, 0.501, 0.731], [0.730, 0.749, 0.231], [0.270, 0.501, 0.269], [0.770, 0.000, 0.769]]}



2:
{"formula": "LiCrO2", "functional": "PBE+U", "state": "relaxed", "lattice_angstrom": [[-2.880, -4.615, 2.332], [-1.857, 3.393, 4.480], [-3.934, -2.978, -3.270]], "species": ["O", "O", "O", "O", "O", "O", "O", "O", "Li", "Li", "Li", "Li", "Cr", "Cr", "Cr", "Cr"], "fractional_positions": [[0.243, 0.772, 0.016], [0.241, 0.243, 0.016], [0.759, 0.757, 0.984], [0.243, 0.241, 0.484], [0.757, 0.228, 0.984], [0.228, 0.757, 0.516], [0.757, 0.759, 0.516], [0.772, 0.243, 0.484], [0.500, 0.000, 0.500], [0.500, 0.500, 0.500], [0.000, 0.500, 0.000], [0.500, 0.500, 0.000], [0.000, 0.000, 0.000], [0.000, 0.000, 0.500], [0.000, 0.500, 0.500], [0.500, 0.000, 0.000]]}



Energy relative to the most stable one, in meV per atom: 1 36; 2 0